No. 1
First-principles (GGA-PBE) data for a geometry-optimized LiTa3N4 structure, as listed in Materials Project.

Volume ... 491.7 Å³ per cell
DFT formation energy ... -1.3736 eV per atom

Structure (CIF):
```
data_LiTa3N4
_symmetry_space_group_name_H-M 'P n n 2'
_symmetry_Int_Tables_number 34
_cell_length_a 5.224
_cell_length_b 10.405
_cell_length_c 9.046
_cell_angle_alpha 90.00
_cell_angle_beta 90.00
_cell_angle_gamma 90.00
loop_
_symmetry_equiv_pos_as_xyz
'x,y,z'
'-x,-y,z'
'-x+1/2,y+1/2,z+1/2'
'x+1/2,-y+1/2,z+1/2'
loop_
_atom_site_label
_atom_site_type_symbol
_atom_site_fract_x
_atom_site_fract_y
_atom_site_fract_z
Li1 Li 0.000 0.000 0.000
Li2 Li 0.000 0.000 0.316
Li3 Li 0.000 0.500 0.982
Ta1 Ta 0.000 0.000 0.639
Ta2 Ta 0.000 0.500 0.326
Ta3 Ta 0.000 0.500 0.670
Ta4 Ta 0.159 0.247 0.154
Ta5 Ta 0.166 0.251 0.825
Ta6 Ta 0.170 0.248 0.487
N1 N 0.165 0.620 0.491
N2 N 0.166 0.621 0.820
N3 N 0.166 0.879 0.490
N4 N 0.167 0.880 0.820
N5 N 0.168 0.619 0.155
N6 N 0.177 0.877 0.156
```

No. 2
First-principles (GGA-PBE) data for a geometry-optimized Li9Ta11N20 structure, as listed in Materials Project.

M_tot ... 11.8 μB/f.u.
Volume ... 1291.7 Å³ per cell
DFT formation energy ... -0.5328 eV per atom

Structure (CIF):
```
data_Li9Ta11N20
_symmetry_space_group_name_H-M 'R -3 m'
_symmetry_Int_Tables_number 166
_symmetry_space_group_name_Hall '-R 3 2"'
_cell_length_a 3.1317
_cell_length_b 3.1317
_cell_length_c 152.0846
_cell_angle_alpha 90.00
_cell_angle_beta 90.00
_cell_angle_gamma 120.00
loop_
_atom_site_label
_atom_site_type_symbol
_atom_site_fract_x
_atom_site_fract_y
_atom_site_fract_z
Li1 Li 0.0000 0.0000 0.0000
Li2 Li 0.0000 0.0000 0.0494
Li3 Li 0.0000 0.0000 0.2507
Li4 Li 0.0000 0.0000 0.3001
Li5 Li 0.0000 0.0000 0.3502
Ta1 Ta 0.0000 0.0000 0.0997
Ta2 Ta 0.0000 0.0000 0.1500
Ta3 Ta 0.0000 0.0000 0.2000
Ta4 Ta 0.0000 0.0000 0.3999
Ta5 Ta 0.0000 0.0000 0.4498
Ta6 Ta 0.0000 0.0000 0.5000
N1 N 0.0000 0.0000 0.0252
N2 N 0.0000 0.0000 0.0741
N3 N 0.0000 0.0000 0.1250
N4 N 0.0000 0.0000 0.1750
N5 N 0.0000 0.0000 0.2251
N6 N 0.0000 0.0000 0.2737
N7 N 0.0000 0.0000 0.3250
N8 N 0.0000 0.0000 0.3748
N9 N 0.0000 0.0000 0.4261
N10 N 0.0000 0.0000 0.4750
```

No. 3
First-principles (GGA-PBE) data for a geometry-optimized Li3TaN2 structure, as listed in Materials Project.

M_tot ... 0.1 μB/f.u.
Volume ... 976.3 Å³ per cell
DFT formation energy ... -0.6833 eV per atom

Structure (CIF):
```
data_Li3TaN2
_symmetry_space_group_name_H-M 'I a -3'
_symmetry_Int_Tables_number 206
_symmetry_space_group_name_Hall '-I 2b 2c 3'
_cell_length_a 9.920
_cell_length_b 9.920
_cell_length_c 9.920
_cell_angle_alpha 90.00
_cell_angle_beta 90.00
_cell_angle_gamma 90.00
loop_
_atom_site_label
_atom_site_type_symbol
_atom_site_fract_x
_atom_site_fract_y
_atom_site_fract_z
Li1 Li 0.105 0.166 0.392
Ta1 Ta 0.118 0.118 0.118
N1 N 0.000 0.000 0.000
N2 N 0.000 0.250 0.232
```

No. 4
First-principles (GGA-PBE) data for a geometry-optimized LiTaN2 structure, as listed in Materials Project.

M_tot ... 0.0 μB/f.u.
Volume ... 83.5 Å³ per cell
DFT formation energy ... -0.9333 eV per atom
Energy relative to the lowest polymorph listed for this composition ... 0.321 eV/atom

Structure (CIF):
```
data_LiTaN2
_symmetry_space_group_name_H-M 'P 63/m m c'
_symmetry_Int_Tables_number 194
_symmetry_space_group_name_Hall '-P 6c 2c'
_cell_length_a 3.0276
_cell_length_b 3.0276
_cell_length_c 10.5176
_cell_angle_alpha 90.00
_cell_angle_beta 90.00
_cell_angle_gamma 120.00
loop_
_atom_site_label
_atom_site_type_symbol
_atom_site_fract_x
_atom_site_fract_y
_atom_site_fract_z
Li1 Li 0.0000 0.0000 0.0000
Ta1 Ta 0.3333 0.6667 0.2500
N1 N 0.3333 0.6667 0.6327
```

No. 5
First-principles (GGA-PBE) data for a geometry-optimized LiTaN2 structure, as listed in Materials Project.

Volume ... 328.0 Å³ per cell
DFT formation energy ... -1.2548 eV per atom
Energy relative to the lowest polymorph listed for this composition ... 0.000 eV/atom

Structure (CIF):
```
data_LiTaN2
_symmetry_space_group_name_H-M 'P 1 21/c 1'
_symmetry_Int_Tables_number 14
_cell_length_a 4.187
_cell_length_b 18.636
_cell_length_c 4.203
_cell_angle_alpha 90.00
_cell_angle_beta 90.01
_cell_angle_gamma 90.00
loop_
_symmetry_equiv_pos_as_xyz
'x,y,z'
'-x,-y,-z'
'-x,y+1/2,-z+1/2'
'x,-y+1/2,z+1/2'
loop_
_atom_site_label
_atom_site_type_symbol
_atom_site_fract_x
_atom_site_fract_y
_atom_site_fract_z
Li1 Li 0.001 0.063 0.249
Li2 Li 0.498 0.687 0.254
Ta1 Ta 0.006 0.188 0.730
Ta2 Ta 0.490 0.562 0.741
N1 N 0.001 0.199 0.250
N2 N 0.001 0.574 0.755
N3 N 0.500 0.051 0.247
N4 N 0.500 0.176 0.750
```

No. 6
First-principles (GGA-PBE) data for a geometry-optimized Li2ThN2 structure, as listed in Materials Project.

Volume ... 65.7 Å³ per cell
DFT formation energy ... -1.2077 eV per atom

Structure (CIF):
```
data_Li2ThN2
_symmetry_space_group_name_H-M 'P -3 m 1'
_symmetry_Int_Tables_number 164
_symmetry_space_group_name_Hall '-P 3 2"'
_cell_length_a 3.6992
_cell_length_b 3.6992
_cell_length_c 5.5445
_cell_angle_alpha 90.00
_cell_angle_beta 90.00
_cell_angle_gamma 120.00
loop_
_atom_site_label
_atom_site_type_symbol
_atom_site_fract_x
_atom_site_fract_y
_atom_site_fract_z
Li1 Li 0.3333 0.6667 0.4036
Th1 Th 0.0000 0.0000 0.0000
N1 N 0.3333 0.6667 0.7729
```

No. 7
First-principles (GGA-PBE) data for a geometry-optimized LiTi2N3 structure, as listed in Materials Project.

Volume ... 272.0 Å³ per cell
DFT formation energy ... -1.5317 eV per atom

Structure (CIF):
```
data_LiTi2N3
_symmetry_space_group_name_H-M 'C m c m'
_symmetry_Int_Tables_number 63
_symmetry_space_group_name_Hall '-C 2c 2'
_cell_length_a 10.398
_cell_length_b 6.294
_cell_length_c 4.157
_cell_angle_alpha 90.00
_cell_angle_beta 90.00
_cell_angle_gamma 90.00
loop_
_atom_site_label
_atom_site_type_symbol
_atom_site_fract_x
_atom_site_fract_y
_atom_site_fract_z
Li1 Li 0.000 0.148 0.250
Ti1 Ti 0.162 0.330 0.750
N1 N 0.000 0.199 0.750
N2 N 0.182 0.352 0.250
```

No. 8
First-principles (GGA-PBE) data for a geometry-optimized Li2TiN2 structure, as listed in Materials Project.

Volume ... 44.9 Å³ per cell
DFT formation energy ... -1.1851 eV per atom

Structure (CIF):
```
data_Li2TiN2
_symmetry_space_group_name_H-M 'P -3 m 1'
_symmetry_Int_Tables_number 164
_symmetry_space_group_name_Hall '-P 3 2"'
_cell_length_a 3.0883
_cell_length_b 3.0883
_cell_length_c 5.4418
_cell_angle_alpha 90.00
_cell_angle_beta 90.00
_cell_angle_gamma 120.00
loop_
_atom_site_label
_atom_site_type_symbol
_atom_site_fract_x
_atom_site_fract_y
_atom_site_fract_z
Li1 Li 0.3333 0.6667 0.1314
Ti1 Ti 0.0000 0.0000 0.5000
N1 N 0.3333 0.6667 0.7110
```

No. 9
First-principles (GGA-PBE) data for a geometry-optimized LiUN2 structure, as listed in Materials Project.

Volume ... 211.9 Å³ per cell
DFT formation energy ... -1.3898 eV per atom

Structure (CIF):
```
data_LiUN2
_symmetry_space_group_name_H-M 'I 41/a m d'
_symmetry_Int_Tables_number 141
_cell_length_a 4.368
_cell_length_b 4.368
_cell_length_c 11.106
_cell_angle_alpha 90.00
_cell_angle_beta 90.00
_cell_angle_gamma 90.00
loop_
_symmetry_equiv_pos_as_xyz
'x,y,z'
'-x,-y,-z'
'-y+1/4,x+3/4,z+1/4'
'y+1/4,-x+3/4,-z+1/4'
'-x+1/2,-y,z+1/2'
'x+1/2,y,-z+1/2'
'y+1/4,-x+1/4,z+3/4'
'-y+1/4,x+1/4,-z+3/4'
'x,-y,-z'
'-x,y,z'
'-y+1/4,-x+1/4,-z+3/4'
'y+1/4,x+1/4,z+3/4'
'-x+1/2,y,-z+1/2'
'x+1/2,-y,z+1/2'
'y+1/4,x+3/4,-z+1/4'
'-y+1/4,-x+3/4,z+1/4'
'x+1/2,y+1/2,z+1/2'
'-x+1/2,-y+1/2,-z+1/2'
'-y+3/4,x+1/4,z+3/4'
'y+3/4,-x+1/4,-z+3/4'
'-x,-y+1/2,z'
'x,y+1/2,-z'
'y+3/4,-x+3/4,z+1/4'
'-y+3/4,x+3/4,-z+1/4'
'x+1/2,-y+1/2,-z+1/2'
'-x+1/2,y+1/2,z+1/2'
'-y+3/4,-x+3/4,-z+1/4'
'y+3/4,x+3/4,z+1/4'
'-x,y+1/2,-z'
'x,-y+1/2,z'
'y+3/4,x+1/4,-z+3/4'
'-y+3/4,-x+1/4,z+3/4'
loop_
_atom_site_label
_atom_site_type_symbol
_atom_site_fract_x
_atom_site_fract_y
_atom_site_fract_z
Li1 Li 0.000 0.250 0.375
U1 U 0.000 0.250 0.875
N1 N 0.000 0.250 0.084
```

No. 10
First-principles (GGA-PBE) data for a geometry-optimized Li3V6N11 structure, as listed in Materials Project.

M_tot ... 0.0 μB/f.u.
Volume ... 579.1 Å³ per cell
DFT formation energy ... -0.8327 eV per atom

Structure (CIF):
```
data_Li3V6N11
_symmetry_space_group_name_H-M 'P 4 b m'
_symmetry_Int_Tables_number 100
_cell_length_a 10.552
_cell_length_b 10.552
_cell_length_c 5.201
_cell_angle_alpha 90.00
_cell_angle_beta 90.00
_cell_angle_gamma 90.00
loop_
_symmetry_equiv_pos_as_xyz
'x,y,z'
'-y,x,z'
'-x,-y,z'
'y,-x,z'
'-x+1/2,y+1/2,z'
'y+1/2,x+1/2,z'
'x+1/2,-y+1/2,z'
'-y+1/2,-x+1/2,z'
loop_
_atom_site_label
_atom_site_type_symbol
_atom_site_fract_x
_atom_site_fract_y
_atom_site_fract_z
Li1 Li 0.000 0.000 0.000
Li2 Li 0.192 0.308 0.983
V1 V 0.075 0.787 0.679
V2 V 0.119 0.619 0.203
N1 N 0.000 0.500 0.231
N2 N 0.072 0.766 0.341
N3 N 0.083 0.176 0.778
N4 N 0.148 0.648 0.848
```

No. 11
First-principles (GGA-PBE) data for a geometry-optimized Li3VN2 structure, as listed in Materials Project.

M_tot ... 1.4 μB/f.u.
Volume ... 893.9 Å³ per cell
DFT formation energy ... -0.7669 eV per atom
Energy relative to the lowest polymorph listed for this composition ... 0.000 eV/atom

Structure (CIF):
```
data_Li3VN2
_symmetry_space_group_name_H-M 'I a -3'
_symmetry_Int_Tables_number 206
_symmetry_space_group_name_Hall '-I 2b 2c 3'
_cell_length_a 9.633
_cell_length_b 9.633
_cell_length_c 9.633
_cell_angle_alpha 90.00
_cell_angle_beta 90.00
_cell_angle_gamma 90.00
loop_
_atom_site_label
_atom_site_type_symbol
_atom_site_fract_x
_atom_site_fract_y
_atom_site_fract_z
Li1 Li 0.111 0.153 0.378
V1 V 0.115 0.115 0.115
N1 N 0.000 0.000 0.000
N2 N 0.000 0.250 0.221
```